1.
Computed, not measured: MgV3FeO8 after structural relaxation at the PBE+U level of DFT.

Properties
Symmetry: Cm
Magnetic moment, μB/atom: 0.692
V, Å³ per atom: 12.12
Mass density, g/cm3: 3.80
Calculated formation energy, eV per atom: -2.3192
Distance to the lowest polymorph of the same formula, meV per atom: 1

The structure in CIF format:
```
data_MgV3FeO8
_chemical_formula_sum 'Mg1 V3 Fe1 O8'
_symmetry_space_group_name_H-M 'P 1'
_symmetry_Int_Tables_number 1
_symmetry_space_group_name_Hall 'P 1'
_cell_length_a 6.462
_cell_length_b 6.462
_cell_length_c 6.778
_cell_angle_alpha 74.99
_cell_angle_beta 105.01
_cell_angle_gamma 144.65
loop_
_atom_site_label
_atom_site_type_symbol
_atom_site_fract_x
_atom_site_fract_y
_atom_site_fract_z
_atom_site_occupancy
O1 O 0.136 0.864 0.680 1
O2 O 0.655 0.345 0.997 1
V1 V 0.600 0.400 0.699 1
O3 O 0.432 0.568 0.636 1
O4 O 0.552 0.448 0.372 1
V2 V 0.402 0.598 0.311 1
O5 O 0.358 0.642 0.009 1
O6 O 0.866 0.134 0.294 1
Mg1 Mg 0.822 0.178 0.990 1
O7 O 0.770 0.230 0.682 1
O8 O 0.239 0.761 0.357 1
Fe1 Fe 0.692 0.308 0.279 1
V3 V 0.289 0.711 0.663 1
```

2.
Computed, not measured: MgV3FeO8 after structural relaxation at the PBE+U level of DFT.

Properties
Symmetry: P1
Magnetic moment, μB/atom: 0.538
V, Å³ per atom: 16.07
Mass density, g/cm3: 2.87
Calculated formation energy, eV per atom: -2.2607
Distance to the lowest polymorph of the same formula, meV per atom: 59

The structure in CIF format:
```
data_MgV3FeO8
_chemical_formula_sum 'Mg1 V3 Fe1 O8'
_symmetry_space_group_name_H-M 'P 1'
_symmetry_Int_Tables_number 1
_symmetry_space_group_name_Hall 'P 1'
_cell_length_a 5.604
_cell_length_b 6.961
_cell_length_c 5.366
_cell_angle_alpha 89.80
_cell_angle_beta 92.85
_cell_angle_gamma 92.20
loop_
_atom_site_label
_atom_site_type_symbol
_atom_site_fract_x
_atom_site_fract_y
_atom_site_fract_z
_atom_site_occupancy
O1 O 0.505 0.411 0.338 1
O2 O 0.596 0.807 0.355 1
O3 O 0.133 0.657 0.415 1
O4 O 0.052 0.103 0.349 1
Mg1 Mg 0.568 0.879 0.993 1
O5 O 0.897 0.344 0.933 1
O6 O 0.486 0.616 0.823 1
V1 V 0.578 0.368 0.989 1
Fe1 Fe 0.935 0.869 0.518 1
V2 V 0.064 0.134 0.030 1
O7 O 0.393 0.124 0.950 1
O8 O 0.888 0.938 0.870 1
V3 V 0.425 0.616 0.485 1
```

3.
Computed, not measured: MgV3FeO8 after structural relaxation at the PBE+U level of DFT.

Properties
Symmetry: Cm
Magnetic moment, μB/atom: 0.547
V, Å³ per atom: 12.46
Mass density, g/cm3: 3.70
Calculated formation energy, eV per atom: -2.3198
Distance to the lowest polymorph of the same formula, meV per atom: 0

The structure in CIF format:
```
data_MgV3FeO8
_chemical_formula_sum 'Mg1 V3 Fe1 O8'
_symmetry_space_group_name_H-M 'P 1'
_symmetry_Int_Tables_number 1
_symmetry_space_group_name_Hall 'P 1'
_cell_length_a 6.530
_cell_length_b 6.530
_cell_length_c 7.105
_cell_angle_alpha 74.03
_cell_angle_beta 105.97
_cell_angle_gamma 146.07
loop_
_atom_site_label
_atom_site_type_symbol
_atom_site_fract_x
_atom_site_fract_y
_atom_site_fract_z
_atom_site_occupancy
O1 O 0.557 0.443 0.401 1
V1 V 0.398 0.602 0.333 1
O2 O 0.882 0.118 0.303 1
O3 O 0.229 0.771 0.294 1
O4 O 0.145 0.855 0.705 1
V2 V 0.605 0.395 0.675 1
O5 O 0.625 0.375 0.948 1
Mg1 Mg 0.170 0.830 0.005 1
O6 O 0.430 0.570 0.615 1
O7 O 0.348 0.652 0.995 1
Fe1 Fe 0.707 0.293 0.343 1
O8 O 0.769 0.231 0.668 1
V3 V 0.312 0.688 0.745 1
```

4.
Computed, not measured: Mg2FeWO6 after structural relaxation at the PBE+U level of DFT.

Properties
Symmetry: P1
Magnetic moment, μB/atom: 0.400
V, Å³ per atom: 11.15
Mass density, g/cm3: 5.72
Calculated formation energy, eV per atom: -2.4421
Distance to the lowest polymorph of the same formula, meV per atom: 0

The structure in CIF format:
```
data_Mg2FeWO6
_chemical_formula_sum 'Mg2 Fe1 W1 O6'
_symmetry_space_group_name_H-M 'P 1'
_symmetry_Int_Tables_number 1
_symmetry_space_group_name_Hall 'P 1'
_cell_length_a 5.231
_cell_length_b 5.233
_cell_length_c 5.568
_cell_angle_alpha 89.40
_cell_angle_beta 62.61
_cell_angle_gamma 119.87
loop_
_atom_site_label
_atom_site_type_symbol
_atom_site_fract_x
_atom_site_fract_y
_atom_site_fract_z
_atom_site_occupancy
Mg1 Mg 0.575 0.297 0.129 1
O1 O 0.793 0.194 0.302 1
O2 O 0.088 0.736 0.824 1
O3 O 0.086 0.906 0.305 1
O4 O 0.811 0.097 0.819 1
Mg2 Mg 0.567 0.793 0.639 1
W1 W 0.977 0.997 0.026 1
Fe1 Fe 0.998 0.510 0.495 1
O5 O 0.507 0.616 0.299 1
O6 O 0.441 0.370 0.825 1
```

5.
Computed, not measured: Mg3Fe4W6O24 after structural relaxation at the PBE+U level of DFT.

Properties
Symmetry: P-1
Magnetic moment, μB/atom: 0.487
V, Å³ per atom: 15.24
Mass density, g/cm3: 5.25
Calculated formation energy, eV per atom: -2.1155

The structure in CIF format:
```
data_Mg3Fe4W6O24
_chemical_formula_sum 'Mg3 Fe4 W6 O24'
_symmetry_space_group_name_H-M 'P 1'
_symmetry_Int_Tables_number 1
_symmetry_space_group_name_Hall 'P 1'
_cell_length_a 7.136
_cell_length_b 8.464
_cell_length_c 10.330
_cell_angle_alpha 103.84
_cell_angle_beta 104.49
_cell_angle_gamma 101.46
loop_
_atom_site_label
_atom_site_type_symbol
_atom_site_fract_x
_atom_site_fract_y
_atom_site_fract_z
_atom_site_occupancy
Fe1 Fe 0.618 0.040 0.394 1
O1 O 0.933 0.954 0.860 1
O2 O 0.526 0.241 0.732 1
O3 O 0.067 0.046 0.140 1
O4 O 0.146 0.038 0.659 1
O5 O 0.474 0.759 0.268 1
O6 O 0.447 0.854 0.772 1
Fe2 Fe 0.382 0.960 0.606 1
O7 O 0.641 0.731 0.012 1
O8 O 0.012 0.723 0.175 1
Fe3 Fe 0.953 0.800 0.986 1
W1 W 0.900 0.903 0.666 1
Fe4 Fe 0.047 0.200 0.014 1
Mg1 Mg 0.000 0.500 0.500 1
O9 O 0.715 0.497 0.239 1
O10 O 0.988 0.277 0.825 1
O11 O 0.553 0.146 0.228 1
W2 W 0.223 0.656 0.270 1
O12 O 0.790 0.327 0.553 1
O13 O 0.210 0.673 0.447 1
W3 W 0.594 0.281 0.122 1
O14 O 0.854 0.962 0.341 1
O15 O 0.174 0.437 0.179 1
O16 O 0.359 0.269 0.988 1
O17 O 0.285 0.503 0.761 1
Mg2 Mg 0.271 0.272 0.785 1
W4 W 0.777 0.344 0.730 1
O18 O 0.233 0.778 0.967 1
Mg3 Mg 0.729 0.728 0.215 1
W5 W 0.406 0.719 0.878 1
W6 W 0.100 0.097 0.334 1
O19 O 0.329 0.024 0.414 1
O20 O 0.104 0.309 0.434 1
O21 O 0.896 0.691 0.566 1
O22 O 0.826 0.563 0.821 1
O23 O 0.671 0.976 0.586 1
O24 O 0.767 0.222 0.033 1
```

6.
Computed, not measured: MgFe2W2O8 after structural relaxation at the PBE+U level of DFT.

Properties
Symmetry: P2
Magnetic moment, μB/atom: 0.462
V, Å³ per atom: 11.52
Mass density, g/cm3: 7.00
Calculated formation energy, eV per atom: -1.9267
Distance to the lowest polymorph of the same formula, meV per atom: 4

The structure in CIF format:
```
data_MgFe2W2O8
_chemical_formula_sum 'Mg1 Fe2 W2 O8'
_symmetry_space_group_name_H-M 'P 1'
_symmetry_Int_Tables_number 1
_symmetry_space_group_name_Hall 'P 1'
_cell_length_a 4.880
_cell_length_b 5.183
_cell_length_c 5.922
_cell_angle_alpha 90.00
_cell_angle_beta 90.00
_cell_angle_gamma 88.49
loop_
_atom_site_label
_atom_site_type_symbol
_atom_site_fract_x
_atom_site_fract_y
_atom_site_fract_z
_atom_site_occupancy
O1 O 0.221 0.590 0.123 1
O2 O 0.779 0.910 0.123 1
O3 O 0.779 0.434 0.877 1
O4 O 0.746 0.913 0.623 1
Fe1 Fe 0.500 0.750 0.346 1
O5 O 0.746 0.415 0.381 1
W1 W 0.000 0.750 0.859 1
O6 O 0.221 0.066 0.877 1
W2 W 0.000 0.250 0.145 1
O7 O 0.254 0.587 0.623 1
O8 O 0.254 0.085 0.381 1
Fe2 Fe 0.500 0.250 0.630 1
Mg1 Mg 0.000 0.750 0.388 1
```

7.
Computed, not measured: MgFe2W2O8 after structural relaxation at the PBE+U level of DFT.

Properties
Symmetry: P2
Magnetic moment, μB/atom: 0.769
V, Å³ per atom: 12.03
Mass density, g/cm3: 6.71
Calculated formation energy, eV per atom: -1.9307
Distance to the lowest polymorph of the same formula, meV per atom: 0

The structure in CIF format:
```
data_MgFe2W2O8
_chemical_formula_sum 'Mg1 Fe2 W2 O8'
_symmetry_space_group_name_H-M 'P 1'
_symmetry_Int_Tables_number 1
_symmetry_space_group_name_Hall 'P 1'
_cell_length_a 5.198
_cell_length_b 5.037
_cell_length_c 5.988
_cell_angle_alpha 90.00
_cell_angle_beta 90.00
_cell_angle_gamma 86.11
loop_
_atom_site_label
_atom_site_type_symbol
_atom_site_fract_x
_atom_site_fract_y
_atom_site_fract_z
_atom_site_occupancy
O1 O 0.221 0.553 0.104 1
O2 O 0.215 0.064 0.905 1
W1 W 0.000 0.750 0.835 1
O3 O 0.785 0.436 0.905 1
Mg1 Mg 0.500 0.250 0.079 1
O4 O 0.720 0.390 0.360 1
Fe1 Fe 0.500 0.750 0.376 1
O5 O 0.779 0.947 0.104 1
O6 O 0.280 0.110 0.360 1
O7 O 0.258 0.599 0.630 1
O8 O 0.742 0.901 0.630 1
W2 W 0.000 0.250 0.175 1
Fe2 Fe 0.500 0.250 0.631 1
```

8.
Computed, not measured: Mg2FeWO6 after structural relaxation at the PBE+U level of DFT.

Properties
Symmetry: P-1
Magnetic moment, μB/atom: 0.400
V, Å³ per atom: 11.02
Mass density, g/cm3: 5.79
Calculated formation energy, eV per atom: -2.4094
Distance to the lowest polymorph of the same formula, meV per atom: 33

The structure in CIF format:
```
data_Mg2FeWO6
_chemical_formula_sum 'Mg4 Fe2 W2 O12'
_symmetry_space_group_name_H-M 'P 1'
_symmetry_Int_Tables_number 1
_symmetry_space_group_name_Hall 'P 1'
_cell_length_a 5.232
_cell_length_b 5.336
_cell_length_c 7.892
_cell_angle_alpha 89.97
_cell_angle_beta 89.82
_cell_angle_gamma 90.11
loop_
_atom_site_label
_atom_site_type_symbol
_atom_site_fract_x
_atom_site_fract_y
_atom_site_fract_z
_atom_site_occupancy
O1 O 0.842 0.798 0.097 1
Mg1 Mg 0.002 0.039 0.272 1
W1 W 0.500 0.000 0.500 1
O2 O 0.158 0.202 0.903 1
Fe1 Fe 0.000 0.500 0.500 1
Mg2 Mg 0.998 0.960 0.728 1
W2 W 0.000 0.500 0.000 1
O3 O 0.320 0.675 0.954 1
Mg3 Mg 0.499 0.540 0.228 1
O4 O 0.820 0.826 0.455 1
O5 O 0.871 0.598 0.775 1
Fe2 Fe 0.500 0.000 0.000 1
O6 O 0.680 0.326 0.046 1
O7 O 0.341 0.700 0.595 1
O8 O 0.372 0.903 0.275 1
O9 O 0.180 0.174 0.545 1
O10 O 0.659 0.299 0.404 1
O11 O 0.628 0.097 0.725 1
O12 O 0.129 0.402 0.225 1
Mg4 Mg 0.501 0.460 0.772 1
```

9.
Computed, not measured: MgZn2FeWO6 after structural relaxation at the PBE+U level of DFT.

Properties
Symmetry: P1
Magnetic moment, μB/atom: 0.545
V, Å³ per atom: 11.46
Mass density, g/cm3: 6.47
Calculated formation energy, eV per atom: -1.9134

The structure in CIF format:
```
data_MgZn2FeWO6
_chemical_formula_sum 'Mg1 Zn2 Fe1 W1 O6'
_symmetry_space_group_name_H-M 'P 1'
_symmetry_Int_Tables_number 1
_symmetry_space_group_name_Hall 'P 1'
_cell_length_a 5.354
_cell_length_b 6.005
_cell_length_c 8.036
_cell_angle_alpha 98.07
_cell_angle_beta 130.78
_cell_angle_gamma 118.53
loop_
_atom_site_label
_atom_site_type_symbol
_atom_site_fract_x
_atom_site_fract_y
_atom_site_fract_z
_atom_site_occupancy
O1 O 0.620 0.461 0.749 1
W1 W 0.995 0.992 0.990 1
Fe1 Fe 0.027 0.922 0.547 1
O2 O 0.320 0.470 0.257 1
O3 O 0.371 0.808 0.597 1
Zn1 Zn 0.010 0.630 0.178 1
Zn2 Zn 0.986 0.452 0.757 1
O4 O 0.721 0.832 0.102 1
Mg1 Mg 0.003 0.287 0.346 1
O5 O 0.604 0.114 0.375 1
O6 O 0.385 0.153 0.961 1
```

10.
Computed, not measured: YMg6FeO8 after structural relaxation at the PBE+U level of DFT.

Properties
Symmetry: P4/mmm
Magnetic moment, μB/atom: 0.215
V, Å³ per atom: 10.83
Mass density, g/cm3: 4.01
Calculated formation energy, eV per atom: -2.7548
Distance to the lowest polymorph of the same formula, meV per atom: 0

The structure in CIF format:
```
data_YMg6FeO8
_chemical_formula_sum 'Y1 Mg6 Fe1 O8'
_symmetry_space_group_name_H-M 'P 1'
_symmetry_Int_Tables_number 1
_symmetry_space_group_name_Hall 'P 1'
_cell_length_a 8.862
_cell_length_b 4.422
_cell_length_c 4.422
_cell_angle_alpha 90.00
_cell_angle_beta 90.00
_cell_angle_gamma 90.00
loop_
_atom_site_label
_atom_site_type_symbol
_atom_site_fract_x
_atom_site_fract_y
_atom_site_fract_z
_atom_site_occupancy
O1 O 0.500 0.000 0.500 1
Y1 Y 0.000 0.000 0.000 1
O2 O 0.261 0.500 0.500 1
Mg1 Mg 0.264 0.000 0.500 1
O3 O 0.500 0.500 0.000 1
Fe1 Fe 0.000 0.500 0.500 1
Mg2 Mg 0.264 0.500 0.000 1
O4 O 0.000 0.500 0.000 1
O5 O 0.737 0.000 0.000 1
Mg3 Mg 0.736 0.000 0.500 1
O6 O 0.263 0.000 0.000 1
O7 O 0.739 0.500 0.500 1
Mg4 Mg 0.500 0.000 0.000 1
Mg5 Mg 0.500 0.500 0.500 1
Mg6 Mg 0.736 0.500 0.000 1
O8 O 0.000 0.000 0.500 1
```

11.
Computed, not measured: YMg6FeO8 after structural relaxation at the PBE+U level of DFT.

Properties
Symmetry: P4/mmm
Magnetic moment, μB/atom: 0.199
V, Å³ per atom: 10.86
Mass density, g/cm3: 4.00
Calculated formation energy, eV per atom: -2.7222
Distance to the lowest polymorph of the same formula, meV per atom: 33

The structure in CIF format:
```
data_YMg6FeO8
_chemical_formula_sum 'Y1 Mg6 Fe1 O8'
_symmetry_space_group_name_H-M 'P 1'
_symmetry_Int_Tables_number 1
_symmetry_space_group_name_Hall 'P 1'
_cell_length_a 8.981
_cell_length_b 4.399
_cell_length_c 4.399
_cell_angle_alpha 90.00
_cell_angle_beta 90.00
_cell_angle_gamma 90.00
loop_
_atom_site_label
_atom_site_type_symbol
_atom_site_fract_x
_atom_site_fract_y
_atom_site_fract_z
_atom_site_occupancy
Mg1 Mg 0.000 0.500 0.500 1
O1 O 0.500 0.500 0.000 1
O2 O 0.754 0.000 0.000 1
O3 O 0.246 0.000 0.000 1
O4 O 0.500 0.000 0.500 1
Mg2 Mg 0.727 0.500 0.000 1
Mg3 Mg 0.273 0.000 0.500 1
O5 O 0.749 0.500 0.500 1
Mg4 Mg 0.727 0.000 0.500 1
O6 O 0.000 0.000 0.500 1
O7 O 0.251 0.500 0.500 1
Mg5 Mg 0.500 0.500 0.500 1
Mg6 Mg 0.273 0.500 0.000 1
O8 O 0.000 0.500 0.000 1
Fe1 Fe 0.500 0.000 0.000 1
Y1 Y 0.000 0.000 0.000 1
```

12.
Computed, not measured: Y2MgFe2O6 after structural relaxation at the PBE+U level of DFT.

Properties
Symmetry: Cm
Magnetic moment, μB/atom: 0.727
V, Å³ per atom: 13.59
Mass density, g/cm3: 4.55
Calculated formation energy, eV per atom: -2.6786

The structure in CIF format:
```
data_Y2MgFe2O6
_chemical_formula_sum 'Y2 Mg1 Fe2 O6'
_symmetry_space_group_name_H-M 'P 1'
_symmetry_Int_Tables_number 1
_symmetry_space_group_name_Hall 'P 1'
_cell_length_a 3.585
_cell_length_b 3.585
_cell_length_c 13.834
_cell_angle_alpha 88.12
_cell_angle_beta 91.88
_cell_angle_gamma 122.72
loop_
_atom_site_label
_atom_site_type_symbol
_atom_site_fract_x
_atom_site_fract_y
_atom_site_fract_z
_atom_site_occupancy
Y1 Y 0.015 0.985 0.975 1
O1 O 0.683 0.317 0.910 1
O2 O 0.329 0.671 0.430 1
O3 O 0.652 0.348 0.590 1
O4 O 0.359 0.641 0.064 1
O5 O 0.037 0.963 0.266 1
O6 O 0.983 0.017 0.730 1
Mg1 Mg 0.635 0.365 0.367 1
Fe1 Fe 0.324 0.676 0.201 1
Y2 Y 0.973 0.027 0.558 1
Fe2 Fe 0.669 0.331 0.755 1
```